Record 1
A plane-wave DFT calculation with PBE with a Hubbard U was carried out for PrZnFe2O6 after structural relaxation.

- VASP energy: -6.470 eV per atom
- Energy with MP2020 corrections: -7.33 eV per atom
- SG: Pmn2_1 (31)

Lattice parameters (Å, degrees): 5.326 5.481 7.733 90.00 90.00 90.00
Sites, in units of the cell vectors:
Zn 0.986 0.778 0.500
Zn 0.486 0.222 0.000
O 0.720 0.028 0.697
O 0.220 0.972 0.803
O 0.808 0.554 0.691
O 0.220 0.972 0.197
O 0.579 0.789 0.000
O 0.808 0.554 0.309
O 0.308 0.446 0.191
O 0.308 0.446 0.809
O 0.079 0.211 0.500
O 0.720 0.028 0.303
O 0.368 0.727 0.500
O 0.868 0.273 0.000
Pr 0.011 0.709 0.000
Pr 0.511 0.291 0.500
Fe 0.500 0.756 0.250
Fe 0.000 0.244 0.750
Fe 0.500 0.756 0.750
Fe 0.000 0.244 0.250

---

Record 2
A plane-wave DFT calculation with PBE with a Hubbard U was carried out for Cd6Co5O15 after structural relaxation.

- VASP energy: -4.900 eV per atom
- Energy with MP2020 corrections: -5.61 eV per atom
- SG: P1 (1)
- Energy relative to the lowest polymorph listed for this composition: 0 meV/atom

Lattice parameters (Å, degrees): 6.835 6.842 6.938 86.66 86.06 87.39
Sites, in units of the cell vectors:
Co 0.696 0.698 0.692
Co 0.111 0.105 0.108
Co 0.304 0.299 0.305
Co 0.498 0.500 0.495
Co 0.893 0.911 0.911
O 0.679 0.723 0.967
O 0.692 0.669 0.418
O 0.860 0.183 0.948
O 0.027 0.276 0.318
O 0.715 0.966 0.665
O 0.423 0.689 0.673
O 0.967 0.886 0.197
O 0.303 0.577 0.312
O 0.339 0.029 0.305
O 0.671 0.422 0.687
O 0.968 0.678 0.723
O 0.198 0.965 0.892
O 0.578 0.320 0.306
O 0.285 0.316 0.035
O 0.311 0.310 0.576
Cd 0.493 0.158 0.825
Cd 0.154 0.825 0.490
Cd 0.828 0.489 0.152
Cd 0.994 0.333 0.669
Cd 0.335 0.674 0.999
Cd 0.676 0.999 0.333

---

Record 3
A plane-wave DFT calculation with PBE with a Hubbard U was carried out for CoSb3XeF23 after structural relaxation.

- VASP energy: -3.939 eV per atom
- Energy with MP2020 corrections: -4.38 eV per atom
- SG: P2_1/c (14)

Lattice parameters (Å, degrees): 10.850 11.068 19.115 55.01 90.00 90.00
Sites, in units of the cell vectors:
F 0.785 0.626 0.627
F 0.478 0.856 0.132
F 0.640 0.609 0.822
F 0.579 0.555 0.038
F 0.175 0.734 0.771
F 0.360 0.391 0.178
F 0.657 0.089 0.613
F 0.035 0.964 0.730
F 0.808 0.765 0.393
F 0.481 0.312 0.624
F 0.930 0.056 0.830
F 0.920 0.840 0.491
F 0.981 0.688 0.876
F 0.087 0.878 0.032
F 0.420 0.160 0.009
F 0.580 0.840 0.991
F 0.761 0.328 0.380
F 0.465 0.964 0.230
F 0.239 0.672 0.620
F 0.921 0.555 0.538
F 0.157 0.911 0.887
F 0.168 0.449 0.972
F 0.140 0.391 0.678
F 0.215 0.374 0.373
F 0.448 0.750 0.842
F 0.830 0.834 0.981
F 0.063 0.666 0.243
F 0.080 0.160 0.509
F 0.570 0.056 0.330
F 0.671 0.058 0.020
F 0.171 0.942 0.480
F 0.123 0.195 0.851
F 0.470 0.414 0.723
F 0.970 0.586 0.777
F 0.832 0.551 0.028
F 0.670 0.834 0.481
F 0.552 0.250 0.158
F 0.343 0.911 0.387
F 0.261 0.672 0.120
F 0.965 0.036 0.270
F 0.070 0.944 0.170
F 0.285 0.374 0.873
F 0.174 0.700 0.475
F 0.668 0.551 0.528
F 0.519 0.688 0.376
F 0.308 0.235 0.107
F 0.877 0.805 0.149
F 0.019 0.312 0.124
F 0.421 0.445 0.962
F 0.022 0.856 0.632
F 0.978 0.144 0.368
F 0.030 0.414 0.223
F 0.860 0.609 0.322
F 0.833 0.825 0.735
F 0.170 0.166 0.019
F 0.326 0.700 0.975
F 0.329 0.942 0.980
F 0.739 0.328 0.880
F 0.411 0.635 0.527
F 0.563 0.334 0.257
F 0.715 0.626 0.127
F 0.911 0.365 0.973
F 0.330 0.166 0.519
F 0.325 0.734 0.271
F 0.333 0.175 0.765
F 0.535 0.036 0.770
F 0.052 0.750 0.342
F 0.674 0.300 0.025
F 0.530 0.586 0.277
F 0.667 0.825 0.235
F 0.192 0.235 0.607
F 0.913 0.122 0.968
F 0.675 0.266 0.729
F 0.843 0.089 0.113
F 0.430 0.944 0.670
F 0.377 0.195 0.351
F 0.437 0.666 0.743
F 0.589 0.365 0.473
F 0.413 0.878 0.532
F 0.522 0.144 0.868
F 0.587 0.122 0.468
F 0.623 0.805 0.649
F 0.825 0.266 0.229
F 0.089 0.635 0.027
F 0.079 0.445 0.462
F 0.692 0.765 0.893
F 0.826 0.300 0.525
F 0.948 0.250 0.658
F 0.937 0.334 0.757
F 0.167 0.175 0.265
F 0.332 0.449 0.472
F 0.829 0.058 0.520
Sb 0.792 0.212 0.995
Sb 0.708 0.212 0.495
Sb 0.205 0.307 0.489
Sb 0.705 0.693 0.011
Sb 0.208 0.788 0.005
Sb 0.795 0.693 0.511
Sb 0.004 0.773 0.754
Sb 0.292 0.788 0.505
Sb 0.996 0.227 0.246
Sb 0.496 0.773 0.254
Sb 0.295 0.307 0.989
Sb 0.504 0.227 0.746
Xe 0.947 0.796 0.246
Xe 0.553 0.796 0.746
Xe 0.053 0.204 0.754
Xe 0.447 0.204 0.254
Co 0.000 0.000 0.500
Co 0.000 0.500 0.000
Co 0.500 0.000 0.000
Co 0.500 0.500 0.500

---

Record 4
A plane-wave DFT calculation with PBE with a Hubbard U was carried out for BaLa2Co3O9 after structural relaxation.

- VASP energy: -6.784 eV per atom
- Energy with MP2020 corrections: -7.52 eV per atom
- SG: P-3m1 (164)
- Energy relative to the lowest polymorph listed for this composition: 7 meV/atom

Lattice parameters (Å, degrees): 5.522 5.522 6.701 90.00 90.00 120.00
Sites, in units of the cell vectors:
O 0.172 0.344 0.346
O 0.828 0.172 0.654
O 0.344 0.172 0.654
O 0.500 0.500 0.000
O 0.828 0.656 0.654
O 0.000 0.500 0.000
O 0.656 0.828 0.346
O 0.500 0.000 0.000
O 0.172 0.828 0.346
Co 0.667 0.333 0.835
Co 0.000 0.000 0.500
Co 0.333 0.667 0.165
La 0.333 0.667 0.665
La 0.667 0.333 0.335
Ba 0.000 0.000 0.000

---

Record 5
A plane-wave DFT calculation with PBE with a Hubbard U was carried out for Sr3Ca5Mn8O23 after structural relaxation.

- VASP energy: -6.916 eV per atom
- Energy with MP2020 corrections: -7.66 eV per atom
- SG: P1 (1)
- Energy relative to the lowest polymorph listed for this composition: 14 meV/atom

Lattice parameters (Å, degrees): 10.925 15.449 10.872 90.18 90.22 90.06
Sites, in units of the cell vectors:
O 0.643 0.730 0.858
O 0.615 0.487 0.113
O 0.238 0.625 0.025
O 0.406 0.236 0.897
O 0.259 0.876 0.971
O 0.987 0.626 0.722
O 0.105 0.766 0.104
O 0.886 0.236 0.401
O 0.751 0.875 0.462
O 0.501 0.377 0.268
O 0.007 0.873 0.792
O 0.753 0.123 0.034
O 0.619 0.031 0.359
O 0.855 0.980 0.144
O 0.102 0.978 0.612
O 0.396 0.222 0.364
O 0.260 0.377 0.478
O 0.643 0.519 0.358
O 0.140 0.737 0.359
O 0.596 0.248 0.108
O 0.608 0.992 0.103
O 0.500 0.628 0.212
O 0.851 0.272 0.645
O 0.363 0.765 0.140
O 0.492 0.626 0.713
O 0.104 0.482 0.607
O 0.857 0.771 0.643
O 0.859 0.482 0.140
O 0.742 0.626 0.038
O 0.359 0.259 0.638
O 0.514 0.873 0.772
O 0.108 0.983 0.112
O 0.643 0.522 0.859
O 0.255 0.363 0.006
O 0.000 0.377 0.787
O 0.604 0.262 0.604
O 0.744 0.376 0.968
O 0.889 0.011 0.891
O 0.004 0.376 0.280
O 0.748 0.375 0.465
O 0.994 0.873 0.285
O 0.857 0.481 0.642
O 0.747 0.124 0.542
O 0.860 0.768 0.139
O 0.393 0.516 0.892
O 0.645 0.728 0.357
O 0.145 0.244 0.347
O 0.612 0.490 0.610
O 0.269 0.876 0.467
O 0.511 0.376 0.770
O 0.608 0.764 0.606
O 0.136 0.005 0.364
O 0.140 0.516 0.358
O 0.615 0.771 0.114
O 0.106 0.774 0.608
O 0.396 0.729 0.892
O 0.895 0.732 0.896
O 0.748 0.626 0.537
O 0.649 0.219 0.359
O 0.863 0.273 0.139
O 0.498 0.124 0.720
O 0.887 0.735 0.389
O 0.889 0.513 0.389
O 0.103 0.263 0.606
O 0.355 0.769 0.647
O 0.753 0.873 0.963
O 0.645 0.017 0.853
O 0.356 0.979 0.640
O 0.000 0.128 0.225
O 0.879 0.017 0.386
O 0.359 0.490 0.642
O 0.988 0.123 0.726
O 0.599 0.984 0.598
O 0.134 0.237 0.859
O 0.145 0.515 0.854
O 0.397 0.732 0.397
O 0.246 0.136 0.036
O 0.645 0.229 0.855
O 0.366 0.999 0.158
O 0.142 0.016 0.861
O 0.147 0.733 0.851
O 0.362 0.491 0.139
O 0.507 0.875 0.297
O 0.260 0.115 0.506
O 0.393 0.520 0.391
O 0.854 0.977 0.642
O 0.395 0.018 0.893
O 0.104 0.484 0.104
O 0.243 0.628 0.538
O 0.889 0.238 0.895
O 0.989 0.625 0.215
O 0.894 0.518 0.897
Mn 0.995 0.996 0.755
Mn 0.995 0.995 0.251
Mn 0.250 0.503 0.502
Mn 0.752 0.249 0.506
Mn 0.258 0.247 0.974
Mn 0.999 0.749 0.249
Mn 0.251 0.750 0.997
Mn 0.236 0.991 0.510
Mn 0.748 0.749 0.500
Mn 0.501 0.747 0.750
Mn 0.250 0.750 0.504
Mn 0.994 0.252 0.749
Mn 0.750 0.505 0.001
Mn 0.501 0.998 0.747
Mn 0.523 0.256 0.262
Mn 0.999 0.501 0.750
Mn 0.502 0.505 0.249
Mn 0.752 0.749 0.000
Mn 0.505 0.250 0.745
Mn 0.502 0.504 0.749
Mn 0.514 0.986 0.242
Mn 0.752 0.997 0.998
Mn 0.750 0.250 0.000
Mn 0.503 0.748 0.251
Mn 0.251 0.000 0.999
Mn 0.991 0.253 0.260
Mn 0.999 0.501 0.248
Mn 0.250 0.251 0.496
Mn 0.250 0.503 0.000
Mn 0.751 0.501 0.501
Mn 0.000 0.750 0.752
Mn 0.745 0.999 0.501
Ca 0.747 0.864 0.250
Ca 0.019 0.626 0.995
Ca 0.746 0.387 0.250
Ca 0.521 0.625 0.497
Ca 0.768 0.626 0.754
Ca 0.776 0.120 0.253
Ca 0.980 0.872 0.006
Ca 0.228 0.872 0.751
Ca 0.733 0.872 0.746
Ca 0.483 0.865 0.519
Ca 0.968 0.385 0.998
Ca 0.769 0.124 0.756
Ca 0.766 0.625 0.253
Ca 0.973 0.871 0.504
Ca 0.519 0.625 0.995
Ca 0.272 0.625 0.756
Ca 0.524 0.131 0.510
Ca 0.734 0.379 0.748
Ca 0.531 0.121 0.972
Ca 0.979 0.378 0.504
Sr 0.262 0.122 0.740
Sr 0.235 0.378 0.743
Sr 0.491 0.872 0.993
Sr 0.240 0.386 0.254
Sr 0.008 0.122 0.502
Sr 0.232 0.872 0.243
Sr 0.264 0.628 0.252
Sr 0.007 0.121 0.995
Sr 0.498 0.381 0.997
Sr 0.241 0.118 0.259
Sr 0.490 0.381 0.506
Sr 0.011 0.626 0.499

---

Record 6
A plane-wave DFT calculation with PBE with a Hubbard U was carried out for Ni3B7ClO13 after structural relaxation.

- VASP energy: -7.135 eV per atom
- Energy with MP2020 corrections: -7.82 eV per atom
- SG: Pca2_1 (29)

Lattice parameters (Å, degrees): 8.586 8.600 12.159 90.00 90.00 90.00
Sites, in units of the cell vectors:
O 0.363 0.323 0.555
O 0.173 0.141 0.914
O 0.162 0.966 0.760
O 0.124 0.328 0.054
O 0.250 0.232 0.729
O 0.520 0.166 0.219
O 0.827 0.641 0.914
O 0.059 0.088 0.145
O 0.973 0.331 0.219
O 0.876 0.672 0.554
O 0.941 0.588 0.145
O 0.331 0.541 0.764
O 0.250 0.268 0.229
O 0.457 0.413 0.140
O 0.363 0.177 0.055
O 0.480 0.834 0.719
O 0.089 0.037 0.344
O 0.409 0.452 0.335
O 0.089 0.463 0.844
O 0.331 0.959 0.264
O 0.911 0.537 0.344
O 0.973 0.169 0.719
O 0.670 0.882 0.925
O 0.409 0.048 0.835
O 0.330 0.118 0.425
O 0.162 0.534 0.260
O 0.670 0.618 0.425
O 0.173 0.359 0.414
O 0.591 0.952 0.335
O 0.059 0.412 0.645
O 0.669 0.459 0.264
O 0.669 0.041 0.764
O 0.543 0.587 0.640
O 0.941 0.912 0.645
O 0.027 0.669 0.719
O 0.480 0.666 0.219
O 0.637 0.823 0.555
O 0.750 0.768 0.229
O 0.838 0.034 0.260
O 0.838 0.466 0.760
O 0.637 0.677 0.055
O 0.543 0.913 0.140
O 0.750 0.732 0.729
O 0.520 0.334 0.719
O 0.591 0.548 0.835
O 0.911 0.963 0.844
O 0.457 0.087 0.640
O 0.124 0.172 0.554
O 0.027 0.831 0.219
O 0.330 0.382 0.925
O 0.876 0.828 0.054
O 0.827 0.859 0.414
Ni 0.468 0.517 0.491
Ni 0.967 0.017 0.493
Ni 0.750 0.256 0.714
Ni 0.250 0.756 0.714
Ni 0.532 0.483 0.991
Ni 0.033 0.983 0.993
Ni 0.250 0.744 0.214
Ni 0.468 0.983 0.991
Ni 0.750 0.244 0.214
Ni 0.532 0.017 0.491
Ni 0.033 0.517 0.493
Ni 0.967 0.483 0.993
B 0.502 0.500 0.239
B 0.096 0.248 0.660
B 0.904 0.752 0.160
B 0.750 0.545 0.341
B 0.246 0.244 0.487
B 0.096 0.252 0.160
B 0.498 0.000 0.239
B 0.498 0.500 0.739
B 0.751 0.907 0.312
B 0.754 0.756 0.987
B 0.597 0.754 0.159
B 0.754 0.744 0.487
B 0.003 0.998 0.240
B 0.250 0.455 0.841
B 0.249 0.407 0.312
B 0.246 0.256 0.987
B 0.750 0.955 0.841
B 0.403 0.246 0.659
B 0.904 0.748 0.660
B 0.250 0.045 0.341
B 0.997 0.002 0.740
B 0.403 0.254 0.159
B 0.003 0.502 0.740
B 0.249 0.093 0.812
B 0.751 0.593 0.812
B 0.502 0.000 0.739
B 0.597 0.746 0.659
B 0.997 0.498 0.240
Cl 0.749 0.204 0.511
Cl 0.749 0.296 0.011
Cl 0.251 0.704 0.511
Cl 0.251 0.796 0.011